# MnC2O6, optimized geometry, DFT PBE+U
# - spin magnetization (Bohr magnetons per cell) = 12.00
# - energy relative to the lowest polymorph listed for this composition (meV/atom) = 429
# - E_form (meV/atom) = -1285
data_MnC2O6
_cell_length_a 10.691
_cell_length_b 6.853
_cell_length_c 11.676
_cell_angle_alpha 90.00
_cell_angle_beta 117.01
_cell_angle_gamma 90.00
_space_group_name_H-M_alt 'C 1 2/c 1'
_space_group_IT_number 15
loop_
_space_group_symop_operation_xyz
'x,y,z'
'-x,-y,-z'
'-x,y,-z+1/2'
'x,-y,z+1/2'
'x+1/2,y+1/2,z'
'-x+1/2,-y+1/2,-z'
'-x+1/2,y+1/2,-z+1/2'
'x+1/2,-y+1/2,z+1/2'
loop_
_atom_site_label
_atom_site_type_symbol
_atom_site_fract_x
_atom_site_fract_y
_atom_site_fract_z
Mn1 Mn 0.000 0.171 0.250
C1 C 0.085 0.327 0.922
O1 O 0.084 0.499 0.922
O2 O 0.088 0.156 0.922
O3 O 0.157 0.178 0.246

***

# MnC2O6, optimized geometry, DFT PBE+U
# - spin magnetization (Bohr magnetons per cell) = 4.00
# - energy relative to the lowest polymorph listed for this composition (meV/atom) = 519
# - E_form (meV/atom) = -1194
data_MnC2O6
_cell_length_a 5.689
_cell_length_b 5.841
_cell_length_c 16.443
_cell_angle_alpha 90.00
_cell_angle_beta 90.00
_cell_angle_gamma 90.00
_space_group_name_H-M_alt 'P 21 21 21'
_space_group_IT_number 19
loop_
_space_group_symop_operation_xyz
'x,y,z'
'-x+1/2,-y,z+1/2'
'x+1/2,-y+1/2,-z'
'-x,y+1/2,-z+1/2'
loop_
_atom_site_label
_atom_site_type_symbol
_atom_site_fract_x
_atom_site_fract_y
_atom_site_fract_z
Mn1 Mn 0.082 0.163 0.394
C1 C 0.054 0.360 0.650
C2 C 0.091 0.887 0.771
O1 O 0.009 0.894 0.703
O2 O 0.046 0.972 0.463
O3 O 0.054 0.427 0.418
O4 O 0.066 0.833 0.914
O5 O 0.181 0.100 0.288
O6 O 0.226 0.629 0.158

***

# MnCO3, optimized geometry, DFT PBE+U
# - E_form (meV/atom) = -2013
data_MnCO3
_cell_length_a 8.377
_cell_length_b 4.836
_cell_length_c 5.990
_cell_angle_alpha 90.00
_cell_angle_beta 117.88
_cell_angle_gamma 90.00
_space_group_name_H-M_alt 'C 1 c 1'
_space_group_IT_number 9
loop_
_space_group_symop_operation_xyz
'x,y,z'
'x,-y,z+1/2'
'x+1/2,y+1/2,z'
'x+1/2,-y+1/2,z+1/2'
loop_
_atom_site_label
_atom_site_type_symbol
_atom_site_fract_x
_atom_site_fract_y
_atom_site_fract_z
Mn1 Mn 0.000 0.250 0.000
C1 C 0.250 0.249 0.750
O1 O 0.115 0.114 0.750
O2 O 0.250 0.483 0.251
O3 O 0.383 0.115 0.749

***

# MnC2O6, optimized geometry, DFT PBE+U
# - spin magnetization (Bohr magnetons per cell) = 6.00
# - energy relative to the lowest polymorph listed for this composition (meV/atom) = 27
# - E_form (meV/atom) = -1686
data_MnC2O6
_cell_length_a 5.273
_cell_length_b 7.380
_cell_length_c 6.849
_cell_angle_alpha 90.00
_cell_angle_beta 114.01
_cell_angle_gamma 90.00
_space_group_name_H-M_alt 'P 1 21/c 1'
_space_group_IT_number 14
loop_
_space_group_symop_operation_xyz
'x,y,z'
'-x,-y,-z'
'-x,y+1/2,-z+1/2'
'x,-y+1/2,z+1/2'
loop_
_atom_site_label
_atom_site_type_symbol
_atom_site_fract_x
_atom_site_fract_y
_atom_site_fract_z
Mn1 Mn 0.000 0.000 0.000
C1 C 0.118 0.235 0.361
O1 O 0.110 0.750 0.109
O2 O 0.187 0.093 0.287
O3 O 0.279 0.124 0.919

***

- Among the records above, which one has the lowest E_form?
  MnCO3